(1)
# SrSi3Au

A geometry-optimized SrSi3Au structure (r2SCAN, the Materials Project database).

The structure belongs to space group I4mm (No. 107); the cell edges are 4.428, 4.428 and 9.910 Å and the angles 90.00°, 90.00° and 90.00°. The distinct sites, in fractional coordinates, are Sr at (0.000, 0.000, 0.000), Si at (0.000, 0.000, 0.379), Si at (0.000, 0.500, 0.257) and Au at (0.000, 0.000, 0.634).

The value obtained for the total DFT energy (no corrections) is -18.7796 eV per atom. The value obtained for the density is 6.31 g/cm³. For the formation energy, the calculation gives -1.8 eV per formula unit.

=====

(2)
# Th2Si3Au

A geometry-optimized Th2Si3Au structure (r2SCAN, the Materials Project database).

The structure belongs to space group Imm2 (No. 44); the cell edges are 4.253, 4.254 and 14.152 Å and the angles 90.00°, 90.00° and 90.00°. The distinct sites, in fractional coordinates, are Th at (0.000, 0.000, 0.000), Th at (0.000, 0.500, 0.265), Si at (0.000, 0.000, 0.422), Si at (0.000, 0.000, 0.588), Si at (0.000, 0.500, 0.843) and Au at (0.000, 0.500, 0.671).

The value obtained for the total DFT energy (no corrections) is -38.1138 eV per atom. The value obtained for the density is 9.67 g/cm³. For the formation energy, the calculation gives -4.8 eV per formula unit.

=====

(3)
# ThSiAu

A geometry-optimized ThSiAu structure (r2SCAN, the Materials Project database).

The structure belongs to space group P-6m2 (No. 187); the cell edges are 4.2840, 4.2840 and 4.2047 Å and the angles 90.00°, 90.00° and 120.00°. The distinct sites, in fractional coordinates, are Th at (0.0000, 0.0000, 0.0000), Si at (0.3333, 0.6667, 0.5000) and Au at (0.6667, 0.3333, 0.5000).

The value obtained for the total DFT energy (no corrections) is -45.1382 eV per atom. The value obtained for the density is 11.36 g/cm³. For the formation energy, the calculation gives -2.6 eV per formula unit.

=====

(4)
# YSi2Au2

A geometry-optimized YSi2Au2 structure (r2SCAN, the Materials Project database).

The structure belongs to space group I4/mmm (No. 139); the cell edges are 4.240, 4.240 and 10.208 Å and the angles 90.00°, 90.00° and 90.00°. The distinct sites, in fractional coordinates, are Y at (0.000, 0.000, 0.000), Si at (0.000, 0.000, 0.388) and Au at (0.000, 0.500, 0.250).

The value obtained for the total DFT energy (no corrections) is -28.4069 eV per atom. The value obtained for the density is 9.76 g/cm³. For the formation energy, the calculation gives -3.0 eV per formula unit.